# 1
A geometry-optimized P3IrO9 structure. Source: the Materials Project, functional r2SCAN.

abc: 5.011 7.008 10.334
angles: 98.50 92.34 92.50
Fractional coordinates of all 26 atoms:
O: 0.669 0.120 0.929
O: 0.454 0.869 0.310
O: 0.187 0.072 0.840
O: 0.813 0.928 0.160
Ir: 0.000 0.500 0.500
O: 0.204 0.347 0.623
O: 0.080 0.296 0.346
P: 0.236 0.314 0.228
O: 0.620 0.479 0.761
O: 0.340 0.665 0.479
P: 0.764 0.686 0.772
P: 0.524 0.959 0.182
O: 0.331 0.880 0.071
P: 0.476 0.041 0.818
P: 0.499 0.328 0.639
Ir: 0.000 0.000 0.000
O: 0.546 0.131 0.690
O: 0.660 0.335 0.521
P: 0.501 0.672 0.361
O: 0.516 0.821 0.770
O: 0.380 0.521 0.239
O: 0.796 0.653 0.377
O: 0.484 0.179 0.230
O: 0.920 0.704 0.654
O: 0.096 0.275 0.096
O: 0.904 0.725 0.904

Its energy of formation from the pure elements is -1.9631 eV/atom. As for the magnetization: 0.00 μB/atom. The space group is P-1 (2).


# 2
A geometry-optimized ErAl4Mo2 structure. Source: the Materials Project, functional r2SCAN.

abc: 5.325 5.427 5.427
angles: 76.07 60.62 60.62
Fractional coordinates of all 7 atoms:
Mo: 0.250 0.500 0.500
Al: 0.306 0.000 0.388
Al: 0.694 0.612 0.000
Al: 0.694 0.000 0.612
Al: 0.306 0.388 0.000
Mo: 0.750 0.500 0.500
Er: 0.000 0.000 0.000

Its energy of formation from the pure elements is -0.4290 eV/atom. As for the magnetization: 0.00 μB/atom. The space group is I4/mmm (139).


# 3
A geometry-optimized Ge3Rh2Se3 structure. Source: the Materials Project, functional r2SCAN.

abc: 8.590 8.590 8.590
angles: 89.78 89.78 89.78
Fractional coordinates of all 32 atoms:
Ge: 0.849 0.665 0.002
Se: 0.147 0.496 0.358
Se: 0.000 0.142 0.647
Ge: 0.165 0.502 0.651
Rh: 0.254 0.750 0.249
Rh: 0.250 0.751 0.746
Se: 0.858 0.353 0.000
Ge: 0.651 0.165 0.502
Rh: 0.249 0.254 0.750
Rh: 0.750 0.249 0.254
Se: 0.642 0.853 0.504
Se: 0.358 0.147 0.496
Rh: 0.753 0.753 0.753
Se: 0.504 0.642 0.853
Se: 0.496 0.358 0.147
Se: 0.853 0.504 0.642
Ge: 0.151 0.335 0.998
Se: 0.353 0.000 0.858
Se: 0.647 0.000 0.142
Ge: 0.002 0.849 0.665
Ge: 0.665 0.002 0.849
Se: 0.142 0.647 0.000
Ge: 0.498 0.349 0.835
Ge: 0.998 0.151 0.335
Ge: 0.835 0.498 0.349
Rh: 0.247 0.247 0.247
Ge: 0.335 0.998 0.151
Ge: 0.502 0.651 0.165
Se: 0.000 0.858 0.353
Rh: 0.751 0.746 0.250
Rh: 0.746 0.250 0.751
Ge: 0.349 0.835 0.498

Its energy of formation from the pure elements is -0.5526 eV/atom. As for the magnetization: 0.00 μB/atom. The space group is R-3 (148).


# 4
A geometry-optimized Ho5Ir3 structure. Source: the Materials Project, functional r2SCAN.

abc: 6.332 10.769 10.769
angles: 90.00 90.00 90.00
Fractional coordinates of all 32 atoms:
Ir: 0.250 0.903 0.097
Ho: 0.116 0.338 0.458
Ho: 0.884 0.542 0.838
Ho: 0.384 0.838 0.542
Ho: 0.384 0.542 0.662
Ho: 0.884 0.838 0.958
Ho: 0.884 0.958 0.662
Ir: 0.631 0.750 0.750
Ir: 0.250 0.096 0.596
Ho: 0.500 0.250 0.750
Ho: 0.884 0.662 0.542
Ho: 0.116 0.458 0.162
Ir: 0.750 0.597 0.097
Ir: 0.250 0.404 0.904
Ho: 0.616 0.458 0.338
Ho: 0.616 0.162 0.458
Ir: 0.869 0.250 0.250
Ho: 0.000 0.750 0.250
Ir: 0.131 0.750 0.750
Ho: 0.384 0.958 0.838
Ho: 0.616 0.042 0.162
Ho: 0.500 0.750 0.250
Ir: 0.250 0.597 0.403
Ho: 0.616 0.338 0.042
Ho: 0.116 0.162 0.042
Ho: 0.000 0.250 0.750
Ir: 0.750 0.096 0.904
Ho: 0.116 0.042 0.338
Ir: 0.369 0.250 0.250
Ir: 0.750 0.404 0.596
Ir: 0.750 0.903 0.403
Ho: 0.384 0.662 0.958

Its energy of formation from the pure elements is -0.9402 eV/atom. As for the magnetization: 0.00 μB/atom. The space group is P4/ncc (130).


# 5
A geometry-optimized HoSO structure. Source: the Materials Project, functional r2SCAN.

abc: 6.775 6.775 5.617
angles: 90.00 90.00 130.94
Fractional coordinates of all 12 atoms:
Ho: 0.335 0.665 0.000
Ho: 0.665 0.335 0.000
S: 0.369 0.369 0.631
O: 0.507 0.007 0.250
Ho: 0.165 0.835 0.500
O: 0.493 0.993 0.750
S: 0.631 0.631 0.369
S: 0.131 0.131 0.131
O: 0.007 0.507 0.250
O: 0.993 0.493 0.750
Ho: 0.835 0.165 0.500
S: 0.869 0.869 0.869

Its energy of formation from the pure elements is -2.9285 eV/atom. As for the magnetization: 0.00 μB/atom. The space group is Cmce (64).


# 6
A geometry-optimized Gd3Al2Ni6 structure. Source: the Materials Project, functional r2SCAN.

abc: 7.716 7.716 7.716
angles: 109.44 109.44 109.53
Fractional coordinates of all 22 atoms:
Gd: 0.000 0.707 0.707
Al: 0.500 0.000 0.000
Al: 0.000 0.000 0.500
Gd: 0.293 0.000 0.293
Ni: 0.666 0.000 0.333
Ni: 0.666 0.666 0.331
Ni: 0.334 0.666 0.000
Gd: 0.707 0.000 0.707
Gd: 0.295 0.295 0.000
Ni: 0.334 0.667 0.333
Ni: 0.666 0.333 0.667
Al: 0.500 0.500 0.500
Ni: 0.334 0.000 0.667
Gd: 0.000 0.293 0.293
Ni: 0.000 0.334 0.667
Ni: 0.334 0.334 0.669
Ni: 0.666 0.334 0.000
Al: 0.000 0.500 0.000
Ni: 0.333 0.666 0.667
Gd: 0.705 0.705 0.000
Ni: 0.667 0.334 0.333
Ni: 0.000 0.666 0.333

Its energy of formation from the pure elements is -0.4759 eV/atom. As for the magnetization: 0.74 μB/atom. The space group is I4/mmm (139).


# 7
A geometry-optimized PrS2 structure. Source: the Materials Project, functional r2SCAN.

abc: 4.107 8.089 16.339
angles: 90.00 90.00 90.00
Fractional coordinates of all 24 atoms:
S: 0.663 0.099 0.250
S: 0.358 0.891 0.250
Pr: 0.218 0.129 0.388
S: 0.837 0.599 0.250
S: 0.760 0.875 0.066
Pr: 0.218 0.129 0.112
Pr: 0.782 0.871 0.612
S: 0.260 0.625 0.934
Pr: 0.718 0.371 0.612
S: 0.163 0.401 0.750
S: 0.260 0.625 0.566
S: 0.760 0.875 0.434
S: 0.337 0.901 0.750
S: 0.858 0.609 0.750
Pr: 0.282 0.629 0.112
Pr: 0.718 0.371 0.888
S: 0.642 0.109 0.750
Pr: 0.782 0.871 0.888
S: 0.240 0.125 0.934
S: 0.740 0.375 0.066
S: 0.142 0.391 0.250
Pr: 0.282 0.629 0.388
S: 0.240 0.125 0.566
S: 0.740 0.375 0.434

Its energy of formation from the pure elements is -2.0107 eV/atom. As for the magnetization: 0.00 μB/atom. The space group is Pnma (62).


# 8
A geometry-optimized AgPdAu2 structure. Source: the Materials Project, functional r2SCAN.

abc: 4.575 4.575 4.575
angles: 60.00 60.00 60.00
Fractional coordinates of all 4 atoms:
Au: 0.750 0.750 0.750
Au: 0.250 0.250 0.250
Pd: 0.000 0.000 0.000
Ag: 0.500 0.500 0.500

Its energy of formation from the pure elements is -0.0897 eV/atom. As for the magnetization: 0.00 μB/atom. The space group is Fm-3m (225).


# 9
A geometry-optimized PmTlTe2 structure. Source: the Materials Project, functional r2SCAN.

abc: 5.599 5.599 5.599
angles: 60.00 60.00 60.00
Fractional coordinates of all 4 atoms:
Te: 0.500 0.500 0.500
Te: 0.000 0.000 0.000
Tl: 0.750 0.750 0.750
Pm: 0.250 0.250 0.250

Its energy of formation from the pure elements is -1.0090 eV/atom. As for the magnetization: 0.00 μB/atom. The space group is Fm-3m (225).


# 10
A geometry-optimized K4Au6S5 structure. Source: the Materials Project, functional r2SCAN.

abc: 9.676 9.675 9.945
angles: 90.00 90.00 120.00
Fractional coordinates of all 30 atoms:
S: 0.667 0.333 0.048
Au: 0.449 0.166 0.587
Au: 0.449 0.166 0.913
Au: 0.283 0.834 0.413
Au: 0.166 0.449 0.087
K: 0.582 0.932 0.750
K: 0.000 0.000 0.500
Au: 0.834 0.283 0.913
K: 0.000 0.000 0.000
Au: 0.283 0.834 0.087
Au: 0.717 0.551 0.913
S: 0.742 0.773 0.250
S: 0.667 0.333 0.452
Au: 0.717 0.551 0.587
S: 0.333 0.667 0.952
S: 0.031 0.258 0.250
S: 0.969 0.227 0.750
K: 0.418 0.350 0.250
K: 0.932 0.582 0.250
K: 0.068 0.650 0.750
S: 0.773 0.742 0.750
S: 0.258 0.031 0.750
Au: 0.551 0.717 0.086
S: 0.227 0.969 0.250
Au: 0.166 0.449 0.413
Au: 0.551 0.717 0.413
K: 0.650 0.068 0.250
Au: 0.834 0.283 0.587
K: 0.350 0.418 0.750
S: 0.333 0.667 0.548

Its energy of formation from the pure elements is -0.7493 eV/atom. As for the magnetization: 0.00 μB/atom. The space group is P-62c (190).


# 11
A geometry-optimized Hg3As2O8 structure. Source: the Materials Project, functional r2SCAN.

abc: 11.839 6.575 10.089
angles: 80.10 90.00 90.00
Fractional coordinates of all 52 atoms:
O: 0.557 0.317 0.087
As: 0.368 0.910 0.902
Hg: 0.834 0.910 0.340
O: 0.706 0.080 0.952
Hg: 0.890 0.680 0.703
O: 0.350 0.129 0.295
As: 0.902 0.204 0.605
O: 0.689 0.682 0.482
As: 0.098 0.796 0.395
Hg: 0.390 0.820 0.297
O: 0.189 0.818 0.518
O: 0.416 0.515 0.276
O: 0.650 0.871 0.705
As: 0.868 0.590 0.098
O: 0.943 0.817 0.087
As: 0.402 0.296 0.395
O: 0.584 0.485 0.724
As: 0.132 0.410 0.902
O: 0.084 0.015 0.276
O: 0.229 0.373 0.783
Hg: 0.666 0.410 0.340
O: 0.294 0.920 0.048
Hg: 0.110 0.320 0.297
Hg: 0.334 0.590 0.660
O: 0.271 0.873 0.783
O: 0.964 0.730 0.453
O: 0.443 0.683 0.913
O: 0.771 0.627 0.217
As: 0.598 0.704 0.605
O: 0.850 0.371 0.705
O: 0.729 0.127 0.217
O: 0.794 0.580 0.952
Hg: 0.610 0.180 0.703
As: 0.632 0.090 0.098
O: 0.536 0.230 0.453
O: 0.811 0.182 0.482
Hg: 0.379 0.333 0.046
O: 0.052 0.623 0.868
O: 0.150 0.629 0.295
O: 0.916 0.985 0.724
O: 0.464 0.770 0.547
O: 0.206 0.420 0.048
O: 0.948 0.377 0.132
O: 0.036 0.270 0.547
Hg: 0.621 0.667 0.954
Hg: 0.121 0.833 0.046
O: 0.311 0.318 0.518
O: 0.552 0.877 0.132
O: 0.448 0.123 0.868
Hg: 0.879 0.167 0.954
O: 0.057 0.183 0.913
Hg: 0.166 0.090 0.660

Its energy of formation from the pure elements is -0.9304 eV/atom. As for the magnetization: 0.00 μB/atom. The space group is P2_1/c (14).


# 12
A geometry-optimized Sc3Al structure. Source: the Materials Project, functional r2SCAN.

abc: 6.312 6.312 5.080
angles: 90.00 90.00 120.00
Fractional coordinates of all 8 atoms:
Sc: 0.171 0.343 0.250
Sc: 0.829 0.171 0.750
Sc: 0.657 0.829 0.250
Al: 0.666 0.333 0.250
Sc: 0.829 0.657 0.750
Al: 0.333 0.667 0.750
Sc: 0.343 0.171 0.750
Sc: 0.171 0.829 0.250

Its energy of formation from the pure elements is -0.2888 eV/atom. As for the magnetization: 0.41 μB/atom. The space group is P6_3/mmc (194).